Entry from Materials Project: a geometry-optimized Li3Ni2SnO6 structure (GGA+U).

Computed properties:
- corrected total energy (MP2020 scheme) (eV per atom) = -6.033
- energy of formation from the pure elements (eV per atom) = -1.784

a b c (Å): 3.020 13.144 6.023
angles (deg): 77.10 90.04 90.01
Fractional positions:
O  0.000  0.165  0.427
Ni  0.500  0.837  0.322
Li  0.500  0.491  0.490
Li  0.000  0.667  0.167
Li  0.000  0.343  0.843
Li  0.000  0.990  0.490
O  0.000  0.168  0.907
Ni  0.000  0.996  0.011
O  0.000  0.505  0.769
Li  0.500  0.167  0.167
O  0.500  0.329  0.565
Ni  0.500  0.496  0.011
Ni  0.000  0.337  0.322
Sn  0.000  0.667  0.667
Li  0.500  0.843  0.844
O  0.500  0.335  0.099
Sn  0.500  0.167  0.667
O  0.000  0.498  0.235
O  0.500  0.005  0.769
O  0.500  0.665  0.427
O  0.000  0.829  0.565
O  0.000  0.835  0.099
O  0.500  0.668  0.907
O  0.500  0.998  0.235

=====

Entry from Materials Project: a geometry-optimized Na3Ni2Ge3O12 structure (GGA+U).

Computed properties:
- crystal system = cubic
- corrected total energy (MP2020 scheme) (eV per atom) = -5.979
- energy of formation from the pure elements (eV per atom) = -1.540

a b c (Å): 10.504 10.504 10.504
angles (deg): 109.47 109.47 109.47
Fractional positions:
Ge  0.375  0.250  0.625
O  0.178  0.193  0.581
O  0.902  0.388  0.581
O  0.919  0.307  0.322
O  0.388  0.581  0.902
Ge  0.750  0.375  0.625
O  0.902  0.015  0.322
O  0.419  0.098  0.612
O  0.598  0.178  0.485
Ni  0.500  0.000  0.500
O  0.419  0.822  0.807
O  0.193  0.112  0.015
Na  0.250  0.375  0.125
O  0.322  0.902  0.015
O  0.612  0.419  0.098
O  0.581  0.178  0.193
Ge  0.125  0.750  0.875
O  0.485  0.388  0.307
O  0.193  0.581  0.178
Na  0.625  0.875  0.750
Ge  0.625  0.750  0.375
Ge  0.250  0.125  0.875
Ni  0.500  0.000  0.000
O  0.081  0.693  0.678
O  0.307  0.322  0.919
O  0.388  0.307  0.485
O  0.098  0.612  0.419
Na  0.125  0.250  0.375
O  0.822  0.807  0.419
Ge  0.250  0.625  0.375
O  0.015  0.322  0.902
O  0.888  0.402  0.081
Ni  0.000  0.000  0.000
O  0.678  0.081  0.693
Na  0.625  0.250  0.875
O  0.807  0.419  0.822
O  0.888  0.985  0.807
O  0.598  0.919  0.112
O  0.985  0.678  0.098
Ge  0.875  0.125  0.750
O  0.098  0.985  0.678
O  0.015  0.193  0.112
O  0.402  0.081  0.888
O  0.322  0.919  0.307
O  0.081  0.888  0.402
Ge  0.625  0.375  0.250
Na  0.250  0.875  0.625
Na  0.875  0.750  0.625
Ge  0.125  0.875  0.250
O  0.178  0.485  0.598
Ni  0.000  0.500  0.000
O  0.485  0.598  0.178
O  0.678  0.098  0.985
O  0.581  0.902  0.388
Ni  0.000  0.000  0.500
O  0.112  0.015  0.193
O  0.693  0.515  0.612
O  0.112  0.598  0.919
O  0.807  0.888  0.985
Na  0.750  0.125  0.375
Ni  0.000  0.500  0.500
Na  0.750  0.625  0.875
O  0.919  0.112  0.598
O  0.612  0.693  0.515
O  0.515  0.402  0.822
Ni  0.500  0.500  0.000
Na  0.125  0.375  0.750
Ge  0.375  0.625  0.750
O  0.822  0.515  0.402
O  0.693  0.678  0.081
Na  0.375  0.125  0.250
Ni  0.500  0.500  0.500
Ge  0.875  0.250  0.125
Na  0.875  0.625  0.250
O  0.985  0.807  0.888
Na  0.375  0.750  0.125
Ge  0.750  0.875  0.125
O  0.515  0.612  0.693
O  0.402  0.822  0.515
O  0.307  0.485  0.388